No. 1
! RbFeSe2O8 (GGA+U, optimized geometry); values from VASP
&SYSTEM
  ibrav = 0, nat = 48, ntyp = 4
/
ATOMIC_SPECIES
Rb 85.47 Rb.upf
Fe 55.84 Fe.upf
Se 78.96 Se.upf
O 16.00 O.upf
CELL_PARAMETERS angstrom
-6.8021 3.3349 -5.0659
-2.9896 5.9243 7.9145
3.9890 9.4854 0.8886
ATOMIC_POSITIONS angstrom
Rb -1.1567 10.2627 0.1120
Rb -4.6460 8.4821 3.6251
Rb -2.9895 5.9244 7.9145
Rb -6.3024 11.0398 -0.6644
Fe -4.3961 12.3345 5.8258
Fe 0.7497 11.5574 6.6022
Fe -4.8958 4.6296 1.4243
Fe -6.5521 7.1874 -2.8653
Se -1.4149 14.2606 5.8225
Se -1.9146 6.5557 1.4209
Se -7.0604 7.3330 0.6444
Se -3.5711 9.1136 -2.8687
Se 1.2579 11.4118 3.0926
Se -2.2313 9.6313 6.6056
Se -4.3877 4.4841 -2.0854
Se -3.8879 12.1890 2.3161
O 1.1649 9.9851 2.2773
O -2.3244 8.2045 5.7903
O -4.4806 3.0574 -2.9007
O -3.9808 10.7623 1.5009
O -1.3221 15.6873 6.6379
O -1.8219 7.9824 2.2363
O -6.9675 8.7596 1.4599
O -3.4782 10.5402 -2.0531
O -3.0333 13.8318 5.6791
O -3.5331 6.1269 1.2776
O -4.6897 16.3892 1.3897
O -5.1894 8.6844 -3.0118
O -0.5745 13.0932 6.6922
O -1.0742 5.3883 2.2906
O -6.2199 6.1658 1.5144
O -2.7306 7.9464 -1.9986
O -0.7265 14.4677 4.3036
O -1.2262 6.7628 -0.0980
O -6.3718 7.5398 -0.8743
O -5.8721 15.2447 3.5272
O 1.3871 11.0811 4.7351
O 0.8874 3.3762 0.3335
O -4.2582 4.1532 -0.4430
O -3.7584 11.8581 3.9585
O -1.3765 2.7622 1.6657
O -0.8767 10.4670 6.0672
O -3.0327 5.3197 -2.6238
O -2.5330 13.0246 1.7778
O -0.1376 12.2958 2.7814
O -3.6269 10.5152 6.2944
O -5.7829 5.3684 -2.3964
O -5.2832 13.0733 2.0051
! Energy of formation from the pure elements, eV per atom: -1.427
! V, A^3/atom: 17.8
! Raw total energy, eV per atom: -5.45
! Spin magnetization, Bohr magnetons per cell: 20.0
! Maximum piezoelectric response, C/m²: 0.1



No. 2
! RbTi3FeO8 (GGA+U, optimized geometry); values from VASP
&SYSTEM
  ibrav = 0, nat = 13, ntyp = 4
/
ATOMIC_SPECIES
Rb 85.47 Rb.upf
Ti 47.87 Ti.upf
Fe 55.84 Fe.upf
O 16.00 O.upf
CELL_PARAMETERS angstrom
7.2407 -1.5098 0.0000
7.2407 1.5098 0.0000
-7.2316 0.0000 7.3005
ATOMIC_POSITIONS angstrom
Rb 0.0000 0.0000 0.0000
Ti -3.7000 0.0000 6.0226
Ti 1.3979 0.0000 3.5150
Ti 5.9292 0.0000 3.7710
Fe 10.9941 0.0000 1.3567
O -2.0795 0.0000 2.7655
O -0.3527 0.0000 4.6692
O 2.6896 0.0000 2.1681
O 4.6466 0.0000 0.2968
O 2.6042 0.0000 6.8771
O 4.5473 0.0000 5.1520
O 7.6161 0.0000 2.6526
O 9.3729 0.0000 4.5648
! Energy of formation from the pure elements, eV per atom: -2.990
! V, A^3/atom: 12.3
! Raw total energy, eV per atom: -7.99
! Spin magnetization, Bohr magnetons per cell: 5.0